(1)
The following is a GGA+U calculation of a geometry-optimized Li2Mn2Si3O9 structure, from Materials Project.

Summary:
Formation enthalpy at 0 K, eV/atom: -2.770
SG: No. 14
Energy above the lowest structure with this stoichiometry, kJ/mol of atoms: 0.75

Cell lengths 10.6005, 7.2818, 11.9289 Å; angles 90.00, 109.43, 90.00 degrees
Sites, in units of the cell vectors:
Li1 0.0529 0.0590 0.1176
Li2 0.0529 0.4410 0.6176
Li3 0.4210 0.5756 0.6892
Li4 0.4210 0.9244 0.1892
Li5 0.5790 0.0756 0.8108
Li6 0.5790 0.4244 0.3108
Li7 0.9471 0.5590 0.3824
Li8 0.9471 0.9410 0.8824
Mn1 0.0495 0.1128 0.4140
Mn2 0.0495 0.3872 0.9140
Mn3 0.4337 0.1666 0.5482
Mn4 0.4337 0.3334 0.0482
Mn5 0.5663 0.6666 0.9518
Mn6 0.5663 0.8334 0.4518
Mn7 0.9505 0.6128 0.0860
Mn8 0.9505 0.8872 0.5860
Si1 0.2229 0.0243 0.9428
Si2 0.2229 0.4757 0.4428
Si3 0.2386 0.6460 0.8453
Si4 0.2386 0.8540 0.3453
Si5 0.2665 0.5156 0.2054
Si6 0.2665 0.9844 0.7054
Si7 0.7335 0.0156 0.2946
Si8 0.7335 0.4844 0.7946
Si9 0.7614 0.1460 0.6547
Si10 0.7614 0.3540 0.1547
Si11 0.7771 0.5243 0.5572
Si12 0.7771 0.9757 0.0572
O1 0.0921 0.1156 0.9649
O2 0.0921 0.3844 0.4649
O3 0.1171 0.5045 0.7861
O4 0.1171 0.9955 0.2861
O5 0.1335 0.0031 0.5876
O6 0.1335 0.4969 0.0876
O7 0.1877 0.6982 0.4229
O8 0.1877 0.8018 0.9229
O9 0.2364 0.0940 0.8156
O10 0.2364 0.4060 0.3156
O11 0.2831 0.7421 0.2411
O12 0.2831 0.7579 0.7411
O13 0.3610 0.0687 0.0499
O14 0.3610 0.4313 0.5499
O15 0.3761 0.5498 0.9277
O16 0.3761 0.9502 0.4277
O17 0.4069 0.0541 0.6965
O18 0.4069 0.4459 0.1965
O19 0.5931 0.5541 0.8035
O20 0.5931 0.9459 0.3035
O21 0.6239 0.0498 0.5723
O22 0.6239 0.4502 0.0723
O23 0.6390 0.5687 0.4501
O24 0.6390 0.9313 0.9501
O25 0.7169 0.2421 0.2589
O26 0.7169 0.2579 0.7589
O27 0.7636 0.5940 0.6844
O28 0.7636 0.9060 0.1844
O29 0.8123 0.1982 0.0771
O30 0.8123 0.3018 0.5771
O31 0.8665 0.5031 0.9124
O32 0.8665 0.9969 0.4124
O33 0.8829 0.0045 0.7139
O34 0.8829 0.4955 0.2139
O35 0.9079 0.6156 0.5351
O36 0.9079 0.8844 0.0351

---

(2)
The following is a GGA+U calculation of a geometry-optimized Na10Mn2O9 structure, from Materials Project.

Summary:
Formation enthalpy at 0 K, eV/atom: -1.638

Cell lengths 6.5303, 10.9568, 11.3364 Å; angles 62.59, 105.55, 86.91 degrees
Sites, in units of the cell vectors:
Na1 0.8132 0.8831 0.9104
Mn1 0.3628 0.9704 0.7211
Mn2 0.8627 0.4705 0.7210
Na2 0.1301 0.9694 0.4216
O1 0.2184 0.8571 0.6662
Na3 0.0509 0.6122 0.4540
Na4 0.6542 0.6414 0.0897
O2 0.3485 0.3663 0.3451
Na5 0.4208 0.2783 0.6005
O3 0.6898 0.6354 0.6601
Na6 0.1543 0.1414 0.0897
Na7 0.5245 0.7562 0.4156
O4 0.8486 0.8662 0.3452
Na8 0.6300 0.4694 0.4216
O5 0.4091 0.0027 0.3165
Na9 0.4070 0.6400 0.7369
O6 0.4562 0.8586 0.9102
Na10 0.3298 0.0089 0.9672
Na11 0.9209 0.7782 0.6006
O7 0.4949 0.5203 0.9815
O8 0.9091 0.5027 0.3164
Na12 0.8297 0.5088 0.9673
Na13 0.3131 0.3831 0.9105
O9 0.0032 0.6393 0.0673
O10 0.1899 0.1352 0.6602
Na14 0.0296 0.8496 0.1905
Mn3 0.6462 0.0350 0.2546
O11 0.5033 0.1393 0.0676
O12 0.5984 0.0408 0.6766
Mn4 0.1460 0.5352 0.2543
O13 0.9949 0.0203 0.9815
O14 0.7978 0.1302 0.3315
O15 0.2974 0.6305 0.3314
Na15 0.0247 0.2562 0.4156
Na16 0.9070 0.1401 0.7369
Na17 0.5509 0.1122 0.4540
Na18 0.5297 0.3495 0.1905
O16 0.7183 0.3572 0.6661
O17 0.9562 0.3587 0.9101
Na19 0.7286 0.2013 0.9182
Na20 0.2286 0.7013 0.9180
O18 0.0984 0.5408 0.6766

---

(3)
The following is a GGA+U calculation of a geometry-optimized Li5Ni3Sb2O10 structure, from Materials Project.

Summary:
Formation enthalpy at 0 K, eV/atom: -1.832
Energy above the lowest structure with this stoichiometry, kJ/mol of atoms: 0.00

Cell lengths 5.4312, 10.4244, 8.0181 Å; angles 70.04, 74.77, 96.32 degrees
Sites, in units of the cell vectors:
Ni1 0.5002 0.0002 0.9997
O1 0.7356 0.5071 0.7393
Li1 0.0672 0.5760 0.8070
Ni2 0.5970 0.5972 0.3004
Ni3 0.0969 0.0972 0.8003
Li2 0.9999 0.0000 0.5000
Li3 0.1959 0.6971 0.1043
Ni4 0.9033 0.9028 0.1996
Sb1 0.3065 0.2990 0.4027
O2 0.6171 0.3919 0.4413
O3 0.8497 0.6088 0.0456
O4 0.1171 0.8919 0.9412
Li4 0.9327 0.4240 0.1931
O5 0.8829 0.1081 0.0588
O6 0.7644 0.9929 0.7606
O7 0.2643 0.4929 0.2608
O8 0.3828 0.6081 0.5588
Sb2 0.1935 0.2010 0.0973
Sb3 0.8065 0.7990 0.9027
Li5 0.5673 0.0759 0.3070
Li6 0.4326 0.9240 0.6930
Ni5 0.0003 0.4999 0.5004
Sb4 0.6934 0.7010 0.5973
O9 0.4318 0.2021 0.8560
O10 0.5682 0.7980 0.1439
Li7 0.8040 0.3029 0.8958
O11 0.6503 0.8912 0.4544
O12 0.0080 0.7880 0.6531
O13 0.1502 0.3912 0.9545
Ni6 0.4030 0.4028 0.6996
O14 0.9919 0.2120 0.3469
Li8 0.6958 0.1971 0.6042
O15 0.4919 0.7119 0.8470
O16 0.5081 0.2881 0.1530
O17 0.3497 0.1089 0.5455
O18 0.0682 0.2979 0.6440
O19 0.2359 0.0072 0.2391
Li9 0.5000 0.5000 0.0000
Li10 0.3041 0.8029 0.3957
O20 0.9318 0.7020 0.3561

---

(4)
The following is a GGA+U calculation of a geometry-optimized ZnCr2F12 structure, from Materials Project.

Summary:
Formation enthalpy at 0 K, eV/atom: -2.368
SG: No. 2
Energy above the lowest structure with this stoichiometry, kJ/mol of atoms: 0.00

Cell lengths 5.1348, 5.3852, 8.8735 Å; angles 73.88, 89.97, 61.61 degrees
Sites, in units of the cell vectors:
Zn1 0.0000 0.0000 0.0000
Cr1 0.2519 0.5072 0.7399
Cr2 0.7481 0.4928 0.2601
F1 0.0261 0.7348 0.8668
F2 0.0455 0.2700 0.4170
F3 0.0800 0.2658 0.8127
F4 0.4188 0.7298 0.6906
F5 0.4535 0.7351 0.0790
F6 0.4729 0.2672 0.6369
F7 0.5271 0.7328 0.3631
F8 0.5465 0.2649 0.9210
F9 0.5812 0.2702 0.3094
F10 0.9200 0.7342 0.1873
F11 0.9545 0.7300 0.5830
F12 0.9739 0.2652 0.1332

---

(5)
The following is a GGA+U calculation of a geometry-optimized Li9V6P16O58 structure, from Materials Project.

Summary:
Formation enthalpy at 0 K, eV/atom: -2.593
SG: No. 1
Energy above the lowest structure with this stoichiometry, kJ/mol of atoms: 0.03

Cell lengths 9.7795, 9.7863, 14.0372 Å; angles 90.09, 90.00, 119.73 degrees
Sites, in units of the cell vectors:
Li1 0.0000 0.0000 0.0000
Li2 0.0040 0.5551 0.4996
Li3 0.0945 0.3327 0.9337
Li4 0.1766 0.1032 0.3795
Li5 0.4128 0.4206 0.4982
Li6 0.4175 0.5605 0.0022
Li7 0.7534 0.6573 0.8254
Li8 0.7735 0.2356 0.3812
Li9 0.8622 0.4186 0.0011
V1 0.0906 0.8920 0.1893
V2 0.1000 0.7620 0.6914
V3 0.5193 0.3247 0.6918
V4 0.5246 0.7627 0.1926
V5 0.6592 0.3276 0.1859
V6 0.6613 0.8990 0.6862
P1 0.0011 0.0113 0.7808
P2 0.0035 0.5583 0.2830
P3 0.1771 0.0958 0.5972
P4 0.1774 0.6354 0.1001
P5 0.3162 0.2411 0.0982
P6 0.3221 0.6397 0.5998
P7 0.4080 0.5560 0.7853
P8 0.4123 0.4156 0.2808
P9 0.4269 0.9930 0.8113
P10 0.4276 0.9982 0.3104
P11 0.7572 0.6611 0.0656
P12 0.7586 0.6588 0.5685
P13 0.7741 0.2417 0.6005
P14 0.7815 0.0973 0.0966
P15 0.8604 0.0114 0.2835
P16 0.8687 0.4198 0.7832
O1 0.0058 0.9888 0.2814
O2 0.0130 0.5885 0.7718
O3 0.0767 0.0950 0.8711
O4 0.0799 0.5699 0.3759
O5 0.0889 0.1171 0.6890
O6 0.0892 0.5298 0.0184
O7 0.0945 0.0804 0.5061
O8 0.1020 0.5389 0.1978
O9 0.1748 0.0693 0.1012
O10 0.1768 0.6660 0.5997
O11 0.1778 0.7915 0.1090
O12 0.1869 0.9460 0.6219
O13 0.2753 0.8435 0.7643
O14 0.2776 0.9991 0.2715
O15 0.2943 0.3167 0.1967
O16 0.2971 0.5405 0.6965
O17 0.3028 0.3312 0.0167
O18 0.3242 0.5451 0.8758
O19 0.3267 0.5525 0.5146
O20 0.3397 0.3332 0.3726
O21 0.3437 0.2433 0.6006
O22 0.3505 0.6663 0.1024
O23 0.4232 0.9786 0.9157
O24 0.4246 0.1371 0.7690
O25 0.4289 0.8498 0.2610
O26 0.4311 0.9917 0.4160
O27 0.4355 0.5832 0.2727
O28 0.4356 0.4128 0.7737
O29 0.4711 0.2393 0.1088
O30 0.4740 0.7987 0.6170
O31 0.5699 0.9859 0.7629
O32 0.5713 0.7049 0.7714
O33 0.5725 0.4243 0.2607
O34 0.5793 0.1445 0.2698
O35 0.6025 0.6521 0.1067
O36 0.6073 0.5104 0.6070
O37 0.6161 0.2349 0.6197
O38 0.6242 0.9416 0.1109
O39 0.7089 0.8496 0.2622
O40 0.7192 0.4343 0.7721
O41 0.7504 0.6592 0.9580
O42 0.7506 0.0729 0.6038
O43 0.7505 0.2392 0.0979
O44 0.7529 0.8036 0.6169
O45 0.7639 0.6645 0.4629
O46 0.7684 0.5156 0.1020
O47 0.8300 0.9821 0.7723
O48 0.8374 0.4106 0.2752
O49 0.8455 0.0899 0.3702
O50 0.8505 0.3281 0.5108
O51 0.8778 0.1047 0.0123
O52 0.8831 0.1195 0.1914
O53 0.8829 0.3458 0.8725
O54 0.8844 0.3282 0.6914
O55 0.9022 0.8158 0.1024
O56 0.9097 0.6611 0.6122
O57 0.9903 0.8473 0.7690
O58 0.9928 0.7087 0.2590

---

(6)
The following is a GGA+U calculation of a geometry-optimized CaNiAsO5 structure, from Materials Project.

Summary:
Formation enthalpy at 0 K, eV/atom: -1.982
SG: No. 19

Cell lengths 5.8684, 7.5292, 8.8542 Å; angles 90.00, 90.00, 90.00 degrees
Sites, in units of the cell vectors:
Ca1 0.0262 0.1509 0.1668
Ca2 0.4738 0.8491 0.6668
Ca3 0.5262 0.3491 0.8332
Ca4 0.9738 0.6509 0.3332
Ni1 0.2490 0.2542 0.5039
Ni2 0.2510 0.7458 0.0039
Ni3 0.7490 0.2458 0.4961
Ni4 0.7510 0.7542 0.9961
As1 0.0173 0.6069 0.6928
As2 0.4827 0.3931 0.1928
As3 0.5173 0.8931 0.3072
As4 0.9827 0.1069 0.8072
O1 0.0044 0.1267 0.4258
O2 0.0083 0.9230 0.9269
O3 0.0867 0.7739 0.5722
O4 0.2407 0.1335 0.7159
O5 0.2487 0.4070 0.3104
O6 0.2513 0.5930 0.8104
O7 0.2593 0.8665 0.2159
O8 0.4133 0.2261 0.0722
O9 0.4917 0.0770 0.4269
O10 0.4956 0.8733 0.9258
O11 0.5044 0.3733 0.5742
O12 0.5083 0.5770 0.0731
O13 0.5867 0.7261 0.4278
O14 0.7407 0.3665 0.2841
O15 0.7487 0.0930 0.6896
O16 0.7513 0.9070 0.1896
O17 0.7593 0.6335 0.7841
O18 0.9133 0.2739 0.9278
O19 0.9917 0.4230 0.5731
O20 0.9956 0.6267 0.0742

---

What is the formation enthalpy at 0 K in the third record? -1.832 eV/atom

---

The highest formation enthalpy at 0 K belongs to which entry? Na10Mn2O9

---

What is the formation enthalpy at 0 K in the fourth record? -2.368 eV/atom